# K3In3P4O16, relaxed, DFT GGA-PBE
# E_tot   -6.452 eV per atom
# Magnetic moment   0.44 μB per cell
# Crystal system   monoclinic
# Space group   P2_1/c
# ΔE_f   -2.55 eV/atom
data_K3In3P4O16
_cell_length_a 9.985
_cell_length_b 9.846
_cell_length_c 18.791
_cell_angle_alpha 58.77
_cell_angle_beta 90.00
_cell_angle_gamma 90.00
_symmetry_space_group_name_H-M 'P 1'
_symmetry_Int_Tables_number 1
_symmetry_space_group_name_Hall 'P 1'
loop_
_atom_site_label
_atom_site_fract_x
_atom_site_fract_y
_atom_site_fract_z
K1 0.271 0.761 0.214
K2 0.229 0.761 0.714
K3 0.110 0.959 0.368
K4 0.610 0.041 0.132
K5 0.526 0.431 0.898
K6 0.974 0.431 0.398
K7 0.474 0.569 0.102
K8 0.729 0.239 0.786
K9 0.890 0.041 0.632
K10 0.026 0.569 0.602
K11 0.390 0.959 0.868
K12 0.771 0.239 0.286
In1 0.425 0.765 0.491
In2 0.729 0.811 0.365
In3 0.075 0.765 0.991
In4 0.925 0.235 0.009
In5 0.860 0.650 0.161
In6 0.271 0.189 0.635
In7 0.140 0.350 0.839
In8 0.640 0.650 0.661
In9 0.771 0.811 0.865
In10 0.575 0.235 0.509
In11 0.229 0.189 0.135
In12 0.360 0.350 0.339
P1 0.733 0.938 0.505
P2 0.897 0.568 0.795
P3 0.969 0.922 0.212
P4 0.469 0.078 0.288
P5 0.103 0.432 0.205
P6 0.233 0.062 0.995
P7 0.222 0.473 0.974
P8 0.531 0.922 0.712
P9 0.603 0.568 0.295
P10 0.767 0.938 0.005
P11 0.722 0.527 0.526
P12 0.031 0.078 0.788
P13 0.778 0.527 0.026
P14 0.397 0.432 0.705
P15 0.267 0.062 0.495
P16 0.278 0.473 0.474
O1 0.211 0.643 0.958
O2 0.101 0.360 0.027
O3 0.902 0.903 0.292
O4 0.392 0.952 0.365
O5 0.190 0.167 0.412
O6 0.115 0.975 0.213
O7 0.236 0.475 0.231
O8 0.122 0.280 0.202
O9 0.845 0.608 0.466
O10 0.155 0.392 0.534
O11 0.059 0.583 0.119
O12 0.690 0.833 0.088
O13 0.087 0.138 0.971
O14 0.913 0.862 0.029
O15 0.527 0.760 0.717
O16 0.615 0.025 0.287
O17 0.711 0.357 0.542
O18 0.708 0.933 0.930
O19 0.108 0.952 0.865
O20 0.264 0.475 0.731
O21 0.608 0.048 0.635
O22 0.473 0.240 0.283
O23 0.292 0.067 0.070
O24 0.270 0.884 0.521
O25 0.792 0.933 0.430
O26 0.878 0.720 0.798
O27 0.736 0.525 0.269
O28 0.655 0.608 0.966
O29 0.892 0.048 0.135
O30 0.899 0.640 0.973
O31 0.983 0.415 0.261
O32 0.310 0.167 0.912
O33 0.378 0.280 0.702
O34 0.601 0.640 0.473
O35 0.261 0.482 0.390
O36 0.598 0.903 0.792
O37 0.239 0.482 0.890
O38 0.230 0.884 0.021
O39 0.483 0.585 0.239
O40 0.402 0.097 0.208
O41 0.385 0.975 0.713
O42 0.208 0.067 0.570
O43 0.441 0.583 0.619
O44 0.027 0.240 0.783
O45 0.764 0.525 0.769
O46 0.399 0.360 0.527
O47 0.941 0.417 0.881
O48 0.098 0.097 0.708
O49 0.289 0.643 0.458
O50 0.761 0.518 0.110
O51 0.885 0.025 0.787
O52 0.622 0.720 0.298
O53 0.770 0.116 0.979
O54 0.413 0.138 0.471
O55 0.789 0.357 0.042
O56 0.517 0.415 0.761
O57 0.739 0.518 0.610
O58 0.730 0.116 0.479
O59 0.973 0.760 0.217
O60 0.559 0.417 0.381
O61 0.587 0.862 0.529
O62 0.017 0.585 0.739
O63 0.345 0.392 0.034
O64 0.810 0.833 0.588